Entry 1:
Here is crystalline Na3NbSi3SnO12 at its relaxed geometry from the Materials Project. Energies are from PBE.

Structure (POSCAR):
```
Na3NbSi3SnO12
1.0
7.8608 -4.5370 0.0000
7.8608 4.5370 0.0000
-0.0494 0.0000 22.5981
Na Nb Si Sn O
18 6 18 6 72
direct
0.9995 0.0005 0.0000
0.0005 0.9995 0.5000
0.0348 0.3034 0.4153
0.3004 0.6629 0.4148
0.3034 0.0348 0.9153
0.3264 0.7021 0.0815
0.3312 0.3336 0.8334
0.3336 0.3312 0.3334
0.3669 0.6345 0.7480
0.3693 0.9926 0.2488
0.6345 0.3669 0.2480
0.6566 0.6823 0.6667
0.6629 0.3004 0.9148
0.6823 0.6566 0.1667
0.6994 0.9683 0.0821
0.7021 0.3264 0.5815
0.9683 0.6994 0.5821
0.9926 0.3693 0.7488
0.3264 0.3375 0.1855
0.3375 0.3264 0.6855
0.6629 0.6692 0.5187
0.6692 0.6629 0.0187
0.9950 0.9989 0.3520
0.9989 0.9950 0.8520
0.0405 0.6240 0.0809
0.0438 0.3283 0.5804
0.2894 0.7083 0.2477
0.2921 0.9975 0.7487
0.3283 0.0438 0.0804
0.3307 0.6250 0.5806
0.3751 0.6638 0.9140
0.3761 0.9595 0.4128
0.6240 0.0405 0.5809
0.6250 0.3307 0.0806
0.6638 0.3751 0.4140
0.6664 0.9564 0.9152
0.7083 0.2894 0.7477
0.7096 0.9948 0.2458
0.9564 0.6664 0.4152
0.9595 0.3761 0.9128
0.9948 0.7096 0.7458
0.9975 0.2921 0.2487
0.0036 0.9981 0.6453
0.3280 0.3366 0.9787
0.3366 0.3280 0.4787
0.6665 0.6696 0.8121
0.6696 0.6665 0.3121
0.9981 0.0036 0.1453
0.0085 0.1698 0.5855
0.0194 0.8128 0.0871
0.0295 0.8067 0.8024
0.0329 0.1670 0.3071
0.1348 0.3636 0.6384
0.1373 0.4989 0.1384
0.1468 0.4996 0.4202
0.1518 0.3018 0.5203
0.1523 0.3421 0.9185
0.1584 0.8093 0.5857
0.1660 0.5452 0.0243
0.1670 0.0329 0.8071
0.1685 0.8023 0.3060
0.1698 0.0085 0.0855
0.1724 0.5222 0.7421
0.1758 0.2968 0.2422
0.1884 0.9697 0.4094
0.1911 0.8420 0.9085
0.2095 0.9563 0.6915
0.2122 0.8256 0.1886
0.2938 0.5453 0.5214
0.2968 0.1758 0.7422
0.3018 0.1518 0.0203
0.3130 0.5165 0.2425
0.3421 0.1523 0.4185
0.3636 0.1348 0.1384
0.3642 0.4912 0.9197
0.3648 0.4987 0.6385
0.4664 0.6989 0.9721
0.4740 0.8278 0.4691
0.4762 0.8250 0.7536
0.4795 0.6857 0.2529
0.4836 0.8787 0.3525
0.4912 0.3642 0.4197
0.4920 0.6264 0.8549
0.4989 0.1373 0.6384
0.4987 0.3648 0.1385
0.4996 0.1468 0.9202
0.5052 0.8547 0.0758
0.5090 0.6306 0.5750
0.5165 0.3130 0.7425
0.5222 0.1724 0.2421
0.5452 0.1660 0.5243
0.5453 0.2938 0.0214
0.6202 0.8768 0.8586
0.6264 0.4920 0.3549
0.6306 0.5090 0.0750
0.6448 0.8508 0.5757
0.6759 0.8362 0.2518
0.6857 0.4795 0.7529
0.6946 0.8366 0.9741
0.6989 0.4664 0.4721
0.8023 0.1685 0.8060
0.8067 0.0295 0.3024
0.8093 0.1584 0.0857
0.8128 0.0194 0.5871
0.8186 0.9666 0.1858
0.8250 0.4762 0.2536
0.8256 0.2122 0.6886
0.8278 0.4740 0.9691
0.8352 0.9784 0.9088
0.8362 0.6759 0.7518
0.8366 0.6946 0.4741
0.8420 0.1911 0.4085
0.8508 0.6448 0.0757
0.8547 0.5052 0.5758
0.8768 0.6202 0.3586
0.8787 0.4836 0.8525
0.9563 0.2095 0.1915
0.9666 0.8186 0.6858
0.9697 0.1884 0.9094
0.9784 0.8352 0.4088
```

## Properties
Crystal system = monoclinic
Formation enthalpy at 0 K = -2800 meV/atom

---

Entry 2:
Here is crystalline Na3TiNbSi3O12 at its relaxed geometry from the Materials Project. Energies are from PBE.

Structure (POSCAR):
```
Na3TiNbSi3O12
1.0
13.0911 0.0000 -8.7819
0.0000 8.9976 0.0000
-0.2296 0.0000 9.0032
Na Ti Nb Si O
12 4 4 12 48
direct
0.2499 0.7304 0.9916
0.7499 0.7696 0.4916
0.7499 0.2304 0.9916
0.2499 0.2696 0.4916
0.4977 0.1094 0.7436
0.4977 0.8906 0.2436
0.9977 0.6094 0.7436
0.9977 0.3906 0.2436
0.1893 0.9398 0.2880
0.1893 0.0602 0.7880
0.6893 0.4398 0.2880
0.6893 0.5602 0.7880
0.1052 0.7494 0.5637
0.1052 0.2506 0.0637
0.6052 0.2494 0.5637
0.6052 0.7506 0.0637
0.8932 0.7537 0.9318
0.8932 0.2463 0.4318
0.3932 0.2537 0.9318
0.3932 0.7463 0.4318
0.0014 0.9582 0.7566
0.0014 0.0418 0.2566
0.5014 0.4582 0.7566
0.5014 0.5418 0.2566
0.3541 0.8859 0.7579
0.6442 0.8963 0.7489
0.6442 0.1037 0.2489
0.3541 0.1141 0.2579
0.8541 0.3859 0.7579
0.1442 0.3963 0.7489
0.1442 0.6037 0.2489
0.8541 0.6141 0.2579
0.1468 0.5758 0.7414
0.8489 0.5705 0.7635
0.8489 0.4295 0.2635
0.1468 0.4242 0.2414
0.6468 0.0758 0.7414
0.3489 0.0705 0.7635
0.3489 0.9295 0.2635
0.6468 0.9242 0.2414
0.4347 0.5708 0.5785
0.5702 0.5636 0.9366
0.5702 0.4364 0.4366
0.4347 0.4292 0.0785
0.9347 0.0708 0.5785
0.0702 0.0636 0.9366
0.0702 0.9364 0.4366
0.9347 0.9292 0.0785
0.2532 0.8226 0.7443
0.7397 0.8119 0.7584
0.7397 0.1881 0.2584
0.2532 0.1774 0.2443
0.7532 0.3226 0.7443
0.2397 0.3119 0.7584
0.2397 0.6881 0.2584
0.7532 0.6774 0.2443
0.3533 0.8567 0.5750
0.6395 0.8468 0.9198
0.6395 0.1532 0.4198
0.3533 0.1433 0.0750
0.8533 0.3567 0.5750
0.1395 0.3468 0.9198
0.1395 0.6532 0.4198
0.8533 0.6433 0.0750
0.4640 0.8259 0.9373
0.5360 0.8296 0.5639
0.5360 0.1704 0.0639
0.4640 0.1741 0.4373
0.9640 0.3259 0.9373
0.0360 0.3296 0.5639
0.0360 0.6704 0.0639
0.9640 0.6741 0.4373
0.0824 0.8552 0.7451
0.9163 0.8501 0.7539
0.9163 0.1499 0.2539
0.0824 0.1448 0.2451
0.5824 0.3552 0.7451
0.4163 0.3501 0.7539
0.4163 0.6499 0.2539
0.5824 0.6448 0.2451
```

## Properties
Formation enthalpy at 0 K = -3013 meV/atom

---

Entry 3:
Here is crystalline Na3TiNbSi3O12 at its relaxed geometry from the Materials Project. Energies are from PBE.

Structure (POSCAR):
```
Na3TiNbSi3O12
1.0
7.8368 -4.5219 0.0000
7.8368 4.5219 0.0000
-0.0871 0.0000 22.1851
Na Ti Nb Si O
18 6 6 18 72
direct
0.0014 0.9986 0.5000
0.0391 0.2993 0.4146
0.2957 0.6619 0.4136
0.2993 0.0391 0.9146
0.3241 0.7084 0.0816
0.3304 0.3349 0.8334
0.3349 0.3304 0.3334
0.3721 0.6280 0.7476
0.3744 0.9890 0.2473
0.6280 0.3721 0.2476
0.6498 0.6925 0.6668
0.6619 0.2957 0.9136
0.6925 0.6498 0.1668
0.7027 0.9645 0.0808
0.7084 0.3241 0.5816
0.9645 0.7027 0.5808
0.9890 0.3744 0.7473
0.9986 0.0014 0.0000
0.0056 0.9958 0.6408
0.3268 0.3367 0.9741
0.3367 0.3268 0.4741
0.6667 0.6683 0.8075
0.6683 0.6667 0.3075
0.9958 0.0056 0.1408
0.3259 0.3366 0.1842
0.3366 0.3259 0.6842
0.6626 0.6683 0.5174
0.6683 0.6626 0.0174
0.9949 0.9979 0.3507
0.9979 0.9949 0.8507
0.0437 0.6217 0.0770
0.0484 0.3239 0.5765
0.2871 0.7109 0.2435
0.2889 0.9957 0.7459
0.3239 0.0484 0.0765
0.3280 0.6229 0.5767
0.3785 0.6606 0.9101
0.3805 0.9580 0.4085
0.6217 0.0437 0.5770
0.6229 0.3280 0.0767
0.6606 0.3785 0.4101
0.6651 0.9531 0.9119
0.7109 0.2871 0.7435
0.7151 0.9893 0.2411
0.9531 0.6651 0.4119
0.9580 0.3805 0.9085
0.9893 0.7151 0.7411
0.9957 0.2889 0.2459
0.0184 0.1612 0.5822
0.0217 0.8128 0.7992
0.0267 0.8091 0.0802
0.0281 0.1715 0.3069
0.1368 0.3573 0.6367
0.1390 0.5033 0.1371
0.1421 0.4952 0.4133
0.1501 0.3504 0.9151
0.1569 0.8098 0.5821
0.1582 0.3116 0.5164
0.1612 0.0184 0.0822
0.1668 0.5257 0.7407
0.1693 0.5184 0.0204
0.1715 0.0281 0.8069
0.1739 0.2955 0.2408
0.1743 0.8038 0.3048
0.1851 0.9723 0.6890
0.1895 0.8284 0.1847
0.1912 0.9697 0.4090
0.1922 0.8386 0.9070
0.2955 0.1739 0.7408
0.3030 0.5297 0.5172
0.3116 0.1582 0.0164
0.3133 0.5163 0.2423
0.3504 0.1501 0.4151
0.3573 0.1368 0.1367
0.3571 0.5019 0.6368
0.3655 0.4883 0.9160
0.4676 0.6938 0.9704
0.4736 0.8230 0.7499
0.4775 0.6898 0.2465
0.4802 0.8289 0.4663
0.4871 0.8642 0.3475
0.4883 0.3655 0.4160
0.4952 0.1421 0.9133
0.4974 0.6354 0.8509
0.5002 0.8569 0.0747
0.5019 0.3571 0.1368
0.5033 0.1390 0.6371
0.5066 0.6303 0.5738
0.5163 0.3133 0.7423
0.5184 0.1693 0.5204
0.5257 0.1668 0.2407
0.5297 0.3030 0.0172
0.6303 0.5066 0.0738
0.6354 0.4974 0.3509
0.6435 0.8467 0.8558
0.6437 0.8522 0.5751
0.6859 0.8269 0.2482
0.6868 0.8436 0.9739
0.6898 0.4775 0.7465
0.6938 0.4676 0.4704
0.8038 0.1743 0.8048
0.8091 0.0267 0.5802
0.8098 0.1569 0.0821
0.8128 0.0217 0.2992
0.8230 0.4736 0.2499
0.8233 0.9732 0.1804
0.8269 0.6859 0.7482
0.8284 0.1895 0.6847
0.8289 0.4802 0.9663
0.8339 0.9771 0.9079
0.8386 0.1922 0.4070
0.8436 0.6868 0.4739
0.8467 0.6435 0.3558
0.8522 0.6437 0.0751
0.8569 0.5002 0.5747
0.8642 0.4871 0.8475
0.9697 0.1912 0.9090
0.9723 0.1851 0.1890
0.9732 0.8233 0.6804
0.9771 0.8339 0.4079
```

## Properties
Crystal system = monoclinic
Formation enthalpy at 0 K = -3014 meV/atom

---

Entry 4:
Here is crystalline Na7Ti3NbSi6O24 at its relaxed geometry from the Materials Project. Energies are from PBE.

Structure (POSCAR):
```
Na7Ti3NbSi6O24
1.0
8.9994 0.0000 0.0000
4.4988 7.7998 0.0000
0.0328 0.0475 22.2074
Na Ti Nb Si O
21 9 3 18 72
direct
0.0000 0.0000 0.0000
0.9999 0.3717 0.5017
0.0303 0.6670 0.9216
0.0316 0.3036 0.1694
0.0368 0.6675 0.4191
0.0714 0.3289 0.8356
0.0731 0.9650 0.3352
0.3345 0.3341 0.3351
0.3407 0.7027 0.8356
0.3639 0.0077 0.7519
0.3701 0.0012 0.2547
0.3703 0.6311 0.5020
0.3728 0.3704 0.0001
0.4059 0.6617 0.1691
0.6701 0.6620 0.6694
0.6729 0.0376 0.1692
0.6987 0.9714 0.8360
0.7035 0.7037 0.3352
0.7040 0.3277 0.5884
0.7042 0.3406 0.0821
0.7400 0.0004 0.5019
0.0321 0.6672 0.0643
0.0373 0.6672 0.2708
0.0367 0.6689 0.5671
0.3705 0.0011 0.4002
0.3714 0.0010 0.8997
0.7034 0.3340 0.2337
0.7034 0.3348 0.4366
0.7042 0.3278 0.7306
0.7043 0.3392 0.9374
0.0383 0.6671 0.7709
0.3662 0.0052 0.6068
0.3697 0.0002 0.1032
0.0339 0.9561 0.1681
0.0351 0.3763 0.6671
0.0741 0.2974 0.9994
0.0780 0.0008 0.4998
0.3254 0.3819 0.1680
0.3305 0.6623 0.6666
0.3702 0.2931 0.5000
0.3737 0.7056 0.9994
0.4135 0.6246 0.3347
0.4185 0.3315 0.8357
0.6620 0.7091 0.5007
0.6655 0.9974 0.9994
0.7003 0.6230 0.8340
0.7037 0.0440 0.3349
0.7481 0.9631 0.6667
0.7507 0.6650 0.1689
0.9911 0.0497 0.8356
0.9938 0.3340 0.3347
0.0032 0.8667 0.1092
0.0055 0.5016 0.6088
0.0104 0.5069 0.3290
0.0107 0.8571 0.8294
0.0621 0.8286 0.5056
0.0652 0.4686 0.7270
0.0707 0.4783 0.0074
0.0718 0.8316 0.2273
0.1696 0.1702 0.0594
0.1736 0.0360 0.5567
0.1831 0.0263 0.8406
0.1831 0.1619 0.3395
0.1979 0.4809 0.5059
0.1986 0.6944 0.0067
0.2009 0.4688 0.2271
0.2038 0.2011 0.9424
0.2045 0.9670 0.4413
0.2084 0.1896 0.6625
0.2077 0.6958 0.7265
0.2078 0.9749 0.1636
0.2242 0.6408 0.3290
0.2258 0.5044 0.8299
0.2325 0.6406 0.6080
0.2365 0.5031 0.1090
0.3363 0.2004 0.4414
0.3374 0.8361 0.9426
0.3440 0.1896 0.1631
0.3503 0.8342 0.6619
0.3946 0.1633 0.8402
0.3967 0.8137 0.3395
0.3989 0.8017 0.0598
0.4067 0.1616 0.5568
0.5022 0.3703 0.8949
0.5046 0.4987 0.3931
0.5168 0.3594 0.1740
0.5218 0.4979 0.6732
0.5311 0.0273 0.3396
0.5322 0.8146 0.8411
0.5368 0.7983 0.5591
0.5384 0.5327 0.2757
0.5386 0.0310 0.0592
0.5407 0.5151 0.9959
0.5434 0.3082 0.4947
0.5444 0.2998 0.7781
0.5593 0.8386 0.1631
0.5644 0.9665 0.6618
0.5673 0.9722 0.9418
0.5684 0.8360 0.4420
0.6669 0.5374 0.7746
0.6704 0.1689 0.2758
0.6772 0.1722 0.9963
0.6780 0.5204 0.4946
0.7292 0.4959 0.1737
0.7300 0.1501 0.6739
0.7381 0.1355 0.3932
0.7393 0.4928 0.8915
0.8367 0.7031 0.2279
0.8369 0.8358 0.7261
0.8509 0.6926 0.5055
0.8555 0.8302 0.0069
0.8595 0.3688 0.6737
0.8656 0.1475 0.1739
0.8674 0.8647 0.6078
0.8679 0.1325 0.8950
0.8681 0.3687 0.3931
0.8740 0.6423 0.8303
0.8763 0.8548 0.3291
0.8779 0.6336 0.1117
0.8899 0.1738 0.4949
0.8928 0.3002 0.9958
0.8976 0.1763 0.7781
0.9019 0.3012 0.2757
```

## Properties
Crystal system = triclinic
Formation enthalpy at 0 K = -3011 meV/atom

---

no.,final energy (eV per atom)
1,-7.074
2,-7.482
3,-7.483
4,-7.349